Compound: CsTiCl3
Source: the Materials Project database
Functional: meta-GGA r2SCAN
Structure: optimized geometry

a = 7.4012 Å, b = 7.4012 Å, c = 5.9238 Å
α = 90.00°, β = 90.00°, γ = 120.00°
With the nearest neighbours (Å) after each atom.
Atoms (fractional coordinates):
Cs1 0.3333 0.6667 0.2500  12 Cl 3.70
Cs2 0.6667 0.3333 0.7500  12 Cl 3.70
Ti1 0.0000 0.0000 0.0000  6 Cl 2.53
Ti2 0.0000 0.0000 0.5000  6 Cl 2.53
Cl1 0.1605 0.3210 0.7500  2 Ti 2.53
Cl2 0.1605 0.8395 0.7500  2 Ti 2.53
Cl3 0.3210 0.1605 0.2500  2 Ti 2.53
Cl4 0.6790 0.8395 0.7500  2 Ti 2.53
Cl5 0.8395 0.1605 0.2500  2 Ti 2.53
Cl6 0.8395 0.6790 0.2500  2 Ti 2.53

Calculated values
Total magnetic moment in μB/atom: 0.4000
Formation energy from the elements in eV/atom: -1.9462